# 1
Density functional theory data (GGA+U) for Na6MnS4O16 after structural relaxation.

Lattice parameters (Å, degrees): 8.4212 9.4002 10.0112 90.00 113.70 90.00
Closest atoms and distances in Å follow each position.
Sites, in units of the cell vectors:
O 0.5769 0.1040 0.1367  1 S 1.49
O 0.6582 0.3119 0.0307  1 S 1.51
O 0.8411 0.1045 0.0963  1 S 1.49
O 0.5018 0.5848 0.3546  1 S 1.48
O 0.1799 0.7448 0.7117  1 S 1.48
O 0.8418 0.8119 0.9693  1 S 1.51
O 0.8587 0.3065 0.6683  1 S 1.49
O 0.6799 0.7552 0.7117  1 S 1.48
O 0.1589 0.8955 0.9037  1 S 1.49
O 0.3418 0.6881 0.9693  1 S 1.51
O 0.8180 0.6042 0.4640  1 S 1.49
O 0.3411 0.3955 0.0963  1 S 1.49
O 0.6413 0.8065 0.3317  1 S 1.49
O 0.1820 0.3958 0.5360  1 S 1.49
O 0.3292 0.4036 0.7971  1 S 1.51
O 0.9231 0.6040 0.8633  1 S 1.49
O 0.6820 0.1042 0.5360  1 S 1.49
O 0.3201 0.2448 0.2883  1 S 1.48
O 0.8292 0.0964 0.7971  1 S 1.51
O 0.0018 0.9152 0.3546  1 S 1.48
O 0.1413 0.6935 0.3317  1 S 1.49
O 0.3587 0.1935 0.6683  1 S 1.49
O 0.1708 0.9036 0.2029  1 S 1.51
O 0.0769 0.3960 0.1367  1 S 1.49
O 0.4231 0.8960 0.8633  1 S 1.49
O 0.1582 0.1881 0.0307  1 S 1.51
O 0.4982 0.4152 0.6454  1 S 1.48
O 0.9982 0.0848 0.6454  1 S 1.48
O 0.8201 0.2552 0.2883  1 S 1.48
O 0.3180 0.8958 0.4640  1 S 1.49
O 0.6708 0.5964 0.2029  1 S 1.51
O 0.6589 0.6045 0.9037  1 S 1.49
Na 0.5322 0.9847 0.6886  6 O 2.40-2.59
Na 0.3165 0.1373 0.8893  4 O 2.35-2.58
Na 0.6835 0.8627 0.1107  4 O 2.35-2.58
Na 0.8165 0.3627 0.8893  4 O 2.35-2.58
Na 0.9111 0.8488 0.5530  5 O 2.39-2.49
Na 0.4111 0.6512 0.5530  5 O 2.39-2.49
Na 0.4678 0.0153 0.3114  6 O 2.40-2.59
Na 0.0889 0.1512 0.4470  5 O 2.39-2.49
Na 0.9678 0.4847 0.3114  6 O 2.40-2.59
Na 0.5889 0.3488 0.4470  5 O 2.39-2.49
Na 0.1835 0.6373 0.1107  4 O 2.35-2.58
Na 0.0322 0.5153 0.6886  6 O 2.40-2.59
S 0.7751 0.6937 0.8591  4 O 1.48-1.51
S 0.8448 0.1484 0.6603  4 O 1.48-1.51
S 0.1552 0.8516 0.3397  4 O 1.48-1.51
S 0.3448 0.3516 0.6603  4 O 1.48-1.51
S 0.6552 0.6484 0.3397  4 O 1.48-1.51
S 0.2249 0.3063 0.1409  4 O 1.48-1.51
S 0.2751 0.8063 0.8591  4 O 1.48-1.51
S 0.7249 0.1937 0.1409  4 O 1.48-1.51
Mn 0.0000 0.0000 0.0000  6 O 2.16-2.17
Mn 0.5000 0.5000 0.0000  6 O 2.16-2.17

density = 2641 kg/m3
energy of formation from the pure elements = -2.183 eV/atom

=====

# 2
Density functional theory data (GGA+U) for Li9Mn2Co5O16 after structural relaxation.

Lattice parameters (Å, degrees): 2.9072 5.9069 17.1426 89.80 90.00 90.00
Closest atoms and distances in Å follow each position.
Sites, in units of the cell vectors:
Li 0.5000 0.0000 0.5000  6 O 2.09-2.16
Li 0.0000 0.7544 0.3867  5 O 2.04-2.19
Li 0.0000 0.2456 0.6133  5 O 2.04-2.19
Li 0.0000 0.7528 0.8710  5 O 2.02-2.20
Li 0.0000 0.2472 0.1290  5 O 2.02-2.20
Li 0.5000 0.9978 0.7424  5 O 2.00-2.18
Li 0.5000 0.0022 0.2576  5 O 2.00-2.18
Li 0.5000 0.5000 0.0000  6 O 2.11-2.13
Li 0.5000 0.5000 0.5000  6 O 2.06-2.23
O 0.5000 0.0284 0.8735  2 Mn 1.97, 1 Co 2.17, 2 Li 2.18
O 0.0000 0.7316 0.2388  1 Mn 1.95, 2 Co 2.07, 2 Li 2.18
O 0.5000 0.4808 0.3702  3 Co 1.96-2.07
O 0.0000 0.7467 0.5056  1 Co 1.79
O 0.0000 0.2713 0.2468  2 Co 1.94, 3 Li 2.02-2.16
O 0.0000 0.7581 0.0103  1 Mn 1.97, 2 Co 2.05, 2 Li 2.11
O 0.5000 0.4743 0.8761  2 Mn 1.96, 1 Li 2.13
O 0.5000 0.9804 0.6259  2 Co 1.97, 4 Li 2.00-2.16
O 0.5000 0.5257 0.1239  2 Mn 1.96, 1 Li 2.13
O 0.5000 0.9716 0.1265  2 Mn 1.97, 1 Co 2.17, 2 Li 2.18
O 0.0000 0.2419 0.9897  1 Mn 1.97, 2 Co 2.05, 2 Li 2.11
O 0.5000 0.5192 0.6298  3 Co 1.96-2.07
O 0.0000 0.2533 0.4944  1 Co 1.79
O 0.0000 0.7287 0.7532  2 Co 1.94, 3 Li 2.02-2.16
O 0.0000 0.2684 0.7612  1 Mn 1.95, 2 Co 2.07, 2 Li 2.18
O 0.5000 0.0196 0.3741  2 Co 1.97, 4 Li 2.00-2.16
Co 0.0000 0.7608 0.6096  3 O 1.79-1.97
Co 0.0000 0.2392 0.3904  3 O 1.79-1.97
Co 0.5000 0.5124 0.7439  5 O 1.94-2.07
Co 0.5000 0.4876 0.2561  5 O 1.94-2.07
Co 0.5000 0.0000 0.0000  6 O 2.05-2.17
Mn 0.0000 0.2525 0.8749  6 O 1.95-1.97
Mn 0.0000 0.7475 0.1251  6 O 1.95-1.97

density = 4078 kg/m3
energy of formation from the pure elements = -1.785 eV/atom

=====

# 3
Density functional theory data (GGA+U) for Tb3BWO9 after structural relaxation.

Lattice parameters (Å, degrees): 8.5977 8.5977 5.4245 90.00 90.00 120.00
Closest atoms and distances in Å follow each position.
Sites, in units of the cell vectors:
B 0.0000 0.0000 0.3716  3 O 1.38
B 0.0000 0.0000 0.8716  3 O 1.38
W 0.3333 0.6667 0.2437  6 O 1.91-2.00
W 0.6667 0.3333 0.7437  6 O 1.91-2.00
O 0.8755 0.8191 0.8627  1 B 1.38
O 0.0565 0.8755 0.3627  1 B 1.38
O 0.4825 0.6134 0.4743  1 W 2.00
O 0.7398 0.2020 0.5352  1 W 1.91
O 0.8692 0.4825 0.9743  1 W 2.00
O 0.2602 0.7980 0.0352  1 W 1.91
O 0.2020 0.4622 0.0352  1 W 1.91
O 0.3866 0.8692 0.4743  1 W 2.00
O 0.5378 0.7398 0.0352  1 W 1.91
O 0.1245 0.1809 0.3627  1 B 1.38
O 0.5175 0.3866 0.9743  1 W 2.00
O 0.6134 0.1308 0.9743  1 W 2.00
O 0.1809 0.0565 0.8627  1 B 1.38
O 0.7980 0.5378 0.5352  1 W 1.91
O 0.1308 0.5175 0.4743  1 W 2.00
O 0.4622 0.2602 0.5352  1 W 1.91
O 0.9435 0.1245 0.8627  1 B 1.38
O 0.8191 0.9435 0.3627  1 B 1.38
Tb 0.9206 0.2766 0.2005  6 O 2.26-2.45
Tb 0.3560 0.0794 0.2005  6 O 2.26-2.45
Tb 0.7234 0.6440 0.2005  6 O 2.26-2.45
Tb 0.2766 0.3560 0.7005  6 O 2.26-2.45
Tb 0.0794 0.7234 0.7005  6 O 2.26-2.45
Tb 0.6440 0.9206 0.7005  6 O 2.26-2.45

density = 7798 kg/m3
energy of formation from the pure elements = -3.383 eV/atom

=====

# 4
Density functional theory data (GGA+U) for LiFeF4 after structural relaxation.

Lattice parameters (Å, degrees): 6.9176 6.9176 7.2331 75.32 75.32 82.61
Closest atoms and distances in Å follow each position.
Sites, in units of the cell vectors:
Li 0.7282 0.7282 0.3953  4 F 1.86-2.06
Li 0.2718 0.2718 0.6047  4 F 1.86-2.06
Li 0.7529 0.2471 0.0000  4 F 1.87-2.02
Li 0.2471 0.7529 0.0000  4 F 1.87-2.02
Fe 0.7874 0.7875 0.8706  3 F 1.86-1.87
Fe 0.2125 0.2125 0.1294  3 F 1.86-1.87
Fe 0.8094 0.1906 0.5000  4 F 1.84-1.97
Fe 0.1906 0.8094 0.5000  4 F 1.84-1.97
F 0.1879 0.4865 0.1171  1 Fe 1.86, 1 Li 1.87
F 0.0993 0.8000 0.7835  2 Fe 1.97-2.10, 1 Li 2.02
F 0.4865 0.1879 0.1171  1 Fe 1.86, 1 Li 1.87
F 0.4610 0.8115 0.4806  1 Fe 1.84, 1 Li 1.86
F 0.9007 0.2000 0.2165  2 Fe 1.97-2.10, 1 Li 2.02
F 0.8662 0.8662 0.5437  1 Li 2.06, 3 Fe 2.18-2.23
F 0.5390 0.1885 0.5194  1 Fe 1.84, 1 Li 1.86
F 0.8000 0.0993 0.7835  2 Fe 1.97-2.10, 1 Li 2.02
F 0.1338 0.1338 0.4563  1 Li 2.06, 3 Fe 2.18-2.23
F 0.2000 0.9007 0.2165  2 Fe 1.97-2.10, 1 Li 2.02
F 0.5135 0.8121 0.8829  1 Fe 1.86, 1 Li 1.87
F 0.8030 0.8030 0.1209  1 Fe 1.87, 1 Li 1.87
F 0.8115 0.4610 0.4806  1 Fe 1.84, 1 Li 1.86
F 0.8121 0.5135 0.8829  1 Fe 1.86, 1 Li 1.87
F 0.1970 0.1970 0.8791  1 Fe 1.87, 1 Li 1.87
F 0.1885 0.5390 0.5194  1 Fe 1.84, 1 Li 1.86

density = 2853 kg/m3
energy of formation from the pure elements = -2.777 eV/atom

=====

Repeat the second record exactly.
Density functional theory data (GGA+U) for Li9Mn2Co5O16 after structural relaxation.

Lattice parameters (Å, degrees): 2.9072 5.9069 17.1426 89.80 90.00 90.00
Closest atoms and distances in Å follow each position.
Sites, in units of the cell vectors:
Li 0.5000 0.0000 0.5000  6 O 2.09-2.16
Li 0.0000 0.7544 0.3867  5 O 2.04-2.19
Li 0.0000 0.2456 0.6133  5 O 2.04-2.19
Li 0.0000 0.7528 0.8710  5 O 2.02-2.20
Li 0.0000 0.2472 0.1290  5 O 2.02-2.20
Li 0.5000 0.9978 0.7424  5 O 2.00-2.18
Li 0.5000 0.0022 0.2576  5 O 2.00-2.18
Li 0.5000 0.5000 0.0000  6 O 2.11-2.13
Li 0.5000 0.5000 0.5000  6 O 2.06-2.23
O 0.5000 0.0284 0.8735  2 Mn 1.97, 1 Co 2.17, 2 Li 2.18
O 0.0000 0.7316 0.2388  1 Mn 1.95, 2 Co 2.07, 2 Li 2.18
O 0.5000 0.4808 0.3702  3 Co 1.96-2.07
O 0.0000 0.7467 0.5056  1 Co 1.79
O 0.0000 0.2713 0.2468  2 Co 1.94, 3 Li 2.02-2.16
O 0.0000 0.7581 0.0103  1 Mn 1.97, 2 Co 2.05, 2 Li 2.11
O 0.5000 0.4743 0.8761  2 Mn 1.96, 1 Li 2.13
O 0.5000 0.9804 0.6259  2 Co 1.97, 4 Li 2.00-2.16
O 0.5000 0.5257 0.1239  2 Mn 1.96, 1 Li 2.13
O 0.5000 0.9716 0.1265  2 Mn 1.97, 1 Co 2.17, 2 Li 2.18
O 0.0000 0.2419 0.9897  1 Mn 1.97, 2 Co 2.05, 2 Li 2.11
O 0.5000 0.5192 0.6298  3 Co 1.96-2.07
O 0.0000 0.2533 0.4944  1 Co 1.79
O 0.0000 0.7287 0.7532  2 Co 1.94, 3 Li 2.02-2.16
O 0.0000 0.2684 0.7612  1 Mn 1.95, 2 Co 2.07, 2 Li 2.18
O 0.5000 0.0196 0.3741  2 Co 1.97, 4 Li 2.00-2.16
Co 0.0000 0.7608 0.6096  3 O 1.79-1.97
Co 0.0000 0.2392 0.3904  3 O 1.79-1.97
Co 0.5000 0.5124 0.7439  5 O 1.94-2.07
Co 0.5000 0.4876 0.2561  5 O 1.94-2.07
Co 0.5000 0.0000 0.0000  6 O 2.05-2.17
Mn 0.0000 0.2525 0.8749  6 O 1.95-1.97
Mn 0.0000 0.7475 0.1251  6 O 1.95-1.97

density = 4078 kg/m3
energy of formation from the pure elements = -1.785 eV/atom

=====

Please write out number 1 again, unchanged.
Density functional theory data (GGA+U) for Na6MnS4O16 after structural relaxation.

Lattice parameters (Å, degrees): 8.4212 9.4002 10.0112 90.00 113.70 90.00
Closest atoms and distances in Å follow each position.
Sites, in units of the cell vectors:
O 0.5769 0.1040 0.1367  1 S 1.49
O 0.6582 0.3119 0.0307  1 S 1.51
O 0.8411 0.1045 0.0963  1 S 1.49
O 0.5018 0.5848 0.3546  1 S 1.48
O 0.1799 0.7448 0.7117  1 S 1.48
O 0.8418 0.8119 0.9693  1 S 1.51
O 0.8587 0.3065 0.6683  1 S 1.49
O 0.6799 0.7552 0.7117  1 S 1.48
O 0.1589 0.8955 0.9037  1 S 1.49
O 0.3418 0.6881 0.9693  1 S 1.51
O 0.8180 0.6042 0.4640  1 S 1.49
O 0.3411 0.3955 0.0963  1 S 1.49
O 0.6413 0.8065 0.3317  1 S 1.49
O 0.1820 0.3958 0.5360  1 S 1.49
O 0.3292 0.4036 0.7971  1 S 1.51
O 0.9231 0.6040 0.8633  1 S 1.49
O 0.6820 0.1042 0.5360  1 S 1.49
O 0.3201 0.2448 0.2883  1 S 1.48
O 0.8292 0.0964 0.7971  1 S 1.51
O 0.0018 0.9152 0.3546  1 S 1.48
O 0.1413 0.6935 0.3317  1 S 1.49
O 0.3587 0.1935 0.6683  1 S 1.49
O 0.1708 0.9036 0.2029  1 S 1.51
O 0.0769 0.3960 0.1367  1 S 1.49
O 0.4231 0.8960 0.8633  1 S 1.49
O 0.1582 0.1881 0.0307  1 S 1.51
O 0.4982 0.4152 0.6454  1 S 1.48
O 0.9982 0.0848 0.6454  1 S 1.48
O 0.8201 0.2552 0.2883  1 S 1.48
O 0.3180 0.8958 0.4640  1 S 1.49
O 0.6708 0.5964 0.2029  1 S 1.51
O 0.6589 0.6045 0.9037  1 S 1.49
Na 0.5322 0.9847 0.6886  6 O 2.40-2.59
Na 0.3165 0.1373 0.8893  4 O 2.35-2.58
Na 0.6835 0.8627 0.1107  4 O 2.35-2.58
Na 0.8165 0.3627 0.8893  4 O 2.35-2.58
Na 0.9111 0.8488 0.5530  5 O 2.39-2.49
Na 0.4111 0.6512 0.5530  5 O 2.39-2.49
Na 0.4678 0.0153 0.3114  6 O 2.40-2.59
Na 0.0889 0.1512 0.4470  5 O 2.39-2.49
Na 0.9678 0.4847 0.3114  6 O 2.40-2.59
Na 0.5889 0.3488 0.4470  5 O 2.39-2.49
Na 0.1835 0.6373 0.1107  4 O 2.35-2.58
Na 0.0322 0.5153 0.6886  6 O 2.40-2.59
S 0.7751 0.6937 0.8591  4 O 1.48-1.51
S 0.8448 0.1484 0.6603  4 O 1.48-1.51
S 0.1552 0.8516 0.3397  4 O 1.48-1.51
S 0.3448 0.3516 0.6603  4 O 1.48-1.51
S 0.6552 0.6484 0.3397  4 O 1.48-1.51
S 0.2249 0.3063 0.1409  4 O 1.48-1.51
S 0.2751 0.8063 0.8591  4 O 1.48-1.51
S 0.7249 0.1937 0.1409  4 O 1.48-1.51
Mn 0.0000 0.0000 0.0000  6 O 2.16-2.17
Mn 0.5000 0.5000 0.0000  6 O 2.16-2.17

density = 2641 kg/m3
energy of formation from the pure elements = -2.183 eV/atom